The following is a PBE calculation of an optimized crystal structure of MgGeAs2, from the Materials Project.

Lattice parameters (Å, degrees): 7.0799 7.0799 7.0799 129.67 129.67 73.93
Last column: nearest neighbours and their distance in Å.
Fractional positions:
1 Mg 0.7500 0.2500 0.5000  4 As 2.64
2 Mg 0.0000 0.0000 0.0000  4 As 2.64
3 Ge 0.5000 0.5000 0.0000  4 As 2.48
4 Ge 0.2500 0.7500 0.5000  4 As 2.48
5 As 0.8750 0.3984 0.0234  2 Ge 2.48, 2 Mg 2.64
6 As 0.6016 0.6250 0.4766  2 Ge 2.48, 2 Mg 2.64
7 As 0.3750 0.8516 0.9766  2 Ge 2.48, 2 Mg 2.64
8 As 0.1484 0.1250 0.5234  2 Ge 2.48, 2 Mg 2.64

Output
energy	-33.2	eV for the cell shown
space group	I-42d (122)
calculated formation energy	-1.07	eV/f.u.